# 1
Na5ScH4C4O14: relaxed, PBE.

Computed properties:
Total DFT energy (no corrections), eV/atom: -6.47
Calculated formation energy, eV per atom: -2.08

Lattice parameters (Å, degrees): 7.566 7.566 11.631 90.00 90.00 90.00
Space group P-42_1c (No. 114)
One atom of each set of equivalent atoms:
Na 0.000 0.000 0.000 (multiplicity 2)
Na 0.180 0.319 0.709 (multiplicity 8)
Sc 0.000 0.000 0.500 (multiplicity 2)
H 0.060 0.585 0.385 (multiplicity 8)
C 0.177 0.720 0.577 (multiplicity 8)
O 0.000 0.500 0.333 (multiplicity 4)
O 0.093 0.769 0.116 (multiplicity 8)
O 0.093 0.831 0.645 (multiplicity 8)
O 0.158 0.753 0.466 (multiplicity 8)

---

# 2
NaU2H5C4O15: relaxed, PBE.

Computed properties:
Magnetic moment, μB/f.u.: 0.0
Total DFT energy (no corrections), eV/atom: -7.36
Calculated formation energy, eV per atom: -2.11

Lattice parameters (Å, degrees): 9.661 13.434 11.802 90.00 90.00 90.00
Space group Pnma (No. 62)
One atom of each set of equivalent atoms:
Na 0.119 0.250 0.050 (multiplicity 4)
U 0.229 0.089 0.391 (multiplicity 8)
H 0.047 0.250 0.416 (multiplicity 4)
H 0.104 0.192 0.816 (multiplicity 8)
H 0.105 0.693 0.432 (multiplicity 8)
C 0.217 0.050 0.665 (multiplicity 8)
C 0.235 0.050 0.118 (multiplicity 8)
O 0.053 0.045 0.384 (multiplicity 8)
O 0.066 0.250 0.855 (multiplicity 4)
O 0.094 0.633 0.898 (multiplicity 8)
O 0.115 0.750 0.482 (multiplicity 4)
O 0.145 0.250 0.393 (multiplicity 4)
O 0.196 0.118 0.593 (multiplicity 8)
O 0.203 0.056 0.771 (multiplicity 8)
O 0.216 0.055 0.012 (multiplicity 8)
O 0.216 0.120 0.187 (multiplicity 8)

---

# 3
Na2U2ZnH8C12O28: relaxed, PBE.

Computed properties:
Magnetic moment, μB/f.u.: 4.0
Total DFT energy (no corrections), eV/atom: -7.12
Calculated formation energy, eV per atom: -1.77

Lattice parameters (Å, degrees): 6.537 7.986 13.057 75.80 84.52 67.40
Space group P-1 (No. 2)
One atom of each set of equivalent atoms:
Na 0.250 0.165 0.208 (multiplicity 2)
U 0.238 0.663 0.196 (multiplicity 2)
Zn 0.500 0.000 0.500 (multiplicity 1)
H 0.083 0.142 0.426 (multiplicity 2)
H 0.195 0.939 0.401 (multiplicity 2)
H 0.248 0.019 0.682 (multiplicity 2)
H 0.351 0.808 0.672 (multiplicity 2)
C 0.026 0.067 0.025 (multiplicity 2)
C 0.198 0.612 0.454 (multiplicity 2)
C 0.216 0.453 0.781 (multiplicity 2)
C 0.303 0.410 0.437 (multiplicity 2)
C 0.309 0.249 0.775 (multiplicity 2)
C 0.476 0.411 0.021 (multiplicity 2)
O 0.008 0.528 0.791 (multiplicity 2)
O 0.017 0.769 0.029 (multiplicity 2)
O 0.111 0.000 0.117 (multiplicity 2)
O 0.141 0.644 0.542 (multiplicity 2)
O 0.169 0.177 0.767 (multiplicity 2)
O 0.181 0.736 0.366 (multiplicity 2)
O 0.220 0.055 0.399 (multiplicity 2)
O 0.298 0.937 0.631 (multiplicity 2)
O 0.320 0.399 0.340 (multiplicity 2)
O 0.355 0.530 0.776 (multiplicity 2)
O 0.364 0.275 0.516 (multiplicity 2)
O 0.370 0.402 0.108 (multiplicity 2)
O 0.457 0.711 0.033 (multiplicity 2)
O 0.482 0.832 0.224 (multiplicity 2)